Material: Na4Al3Si3BH4O12
Method: DFT, meta-GGA r2SCAN
State: relaxed

Cell lengths 8.834, 8.834, 8.834 Å; angles 90.00, 90.00, 90.00 degrees
Element x y z (fractional)
Na  0.174  0.174  0.174
Na  0.174  0.826  0.826
Na  0.326  0.326  0.674
Na  0.326  0.674  0.326
Na  0.674  0.326  0.326
Na  0.674  0.674  0.674
Na  0.826  0.174  0.826
Na  0.826  0.826  0.174
Al  0.000  0.250  0.500
Al  0.000  0.750  0.500
Al  0.250  0.500  0.000
Al  0.500  0.000  0.250
Al  0.500  0.000  0.750
Al  0.750  0.500  0.000
Si  0.000  0.500  0.250
Si  0.000  0.500  0.750
Si  0.250  0.000  0.500
Si  0.500  0.250  0.000
Si  0.500  0.750  0.000
Si  0.750  0.000  0.500
B  0.000  0.000  0.000
B  0.500  0.500  0.500
H  0.080  0.080  0.920
H  0.080  0.920  0.080
H  0.420  0.420  0.420
H  0.420  0.580  0.580
H  0.580  0.420  0.580
H  0.580  0.580  0.420
H  0.920  0.080  0.080
H  0.920  0.920  0.920
O  0.067  0.362  0.648
O  0.067  0.638  0.352
O  0.138  0.433  0.148
O  0.138  0.567  0.852
O  0.148  0.138  0.433
O  0.148  0.862  0.567
O  0.352  0.067  0.638
O  0.352  0.933  0.362
O  0.362  0.352  0.933
O  0.362  0.648  0.067
O  0.433  0.148  0.138
O  0.433  0.852  0.862
O  0.567  0.148  0.862
O  0.567  0.852  0.138
O  0.638  0.352  0.067
O  0.638  0.648  0.933
O  0.648  0.067  0.362
O  0.648  0.933  0.638
O  0.852  0.138  0.567
O  0.852  0.862  0.433
O  0.862  0.433  0.852
O  0.862  0.567  0.148
O  0.933  0.362  0.352
O  0.933  0.638  0.648

Final energy: -8.138 eV/atom
ΔE_f: -2.448 eV/atom
Size of the total moment: 0.0 μB per formula unit